# 1
MnAl2N3: optimized geometry, PBE-GGA.

E_tot = -7.811 eV per atom
Calculated formation energy = -1.0475 eV per atom
Mass density = 3.8 g/cm³

Cell lengths 5.570, 5.570, 4.970 Å; angles 90.00, 90.00, 59.56 degrees
Fractional positions:
Mn 0.159 0.841 0.500
Mn 0.841 0.159 0.000
Al 0.168 0.491 0.001
Al 0.491 0.168 0.501
Al 0.509 0.832 0.001
Al 0.832 0.509 0.501
N 0.164 0.489 0.383
N 0.186 0.814 0.888
N 0.489 0.164 0.883
N 0.511 0.836 0.383
N 0.814 0.186 0.388
N 0.836 0.511 0.883



# 2
Ho4BClO7: optimized geometry, PBE-GGA.

E_tot = -8.056 eV per atom
Calculated formation energy = -3.6953 eV per atom
Mass density = 7.4 g/cm³

Cell lengths 8.596, 8.037, 12.247 Å; angles 90.00, 120.01, 90.00 degrees
Fractional positions:
Ho 0.070 0.138 0.419
Ho 0.070 0.362 0.919
Ho 0.076 0.617 0.409
Ho 0.076 0.883 0.909
Ho 0.298 0.126 0.779
Ho 0.298 0.374 0.279
Ho 0.317 0.615 0.779
Ho 0.317 0.885 0.279
Ho 0.683 0.115 0.721
Ho 0.683 0.385 0.221
Ho 0.702 0.626 0.721
Ho 0.702 0.874 0.221
Ho 0.924 0.117 0.091
Ho 0.924 0.383 0.591
Ho 0.930 0.638 0.081
Ho 0.930 0.862 0.581
B 0.369 0.130 0.086
B 0.369 0.370 0.586
B 0.631 0.630 0.414
B 0.631 0.870 0.914
Cl 0.381 0.648 0.032
Cl 0.381 0.852 0.532
Cl 0.619 0.148 0.468
Cl 0.619 0.352 0.968
O 0.041 0.122 0.597
O 0.041 0.378 0.097
O 0.072 0.622 0.593
O 0.072 0.878 0.093
O 0.179 0.117 0.282
O 0.179 0.383 0.782
O 0.191 0.637 0.275
O 0.191 0.863 0.775
O 0.274 0.111 0.957
O 0.274 0.389 0.457
O 0.387 0.212 0.635
O 0.387 0.288 0.135
O 0.435 0.506 0.665
O 0.435 0.994 0.165
O 0.565 0.006 0.835
O 0.565 0.494 0.335
O 0.613 0.712 0.865
O 0.613 0.788 0.365
O 0.726 0.611 0.543
O 0.726 0.889 0.043
O 0.809 0.137 0.225
O 0.809 0.363 0.725
O 0.821 0.617 0.218
O 0.821 0.883 0.718
O 0.928 0.122 0.907
O 0.928 0.378 0.407
O 0.959 0.622 0.903
O 0.959 0.878 0.403



# 3
Na3TiSi2GePO12: optimized geometry, PBE-GGA.

Relative energy among the computed polymorphs = 0.000 eV per atom
E_tot = -6.979 eV per atom
Calculated formation energy = -2.7853 eV per atom
Mass density = 3.2 g/cm³

Cell lengths 8.810, 8.869, 12.431 Å; angles 89.62, 89.92, 89.95 degrees
Fractional positions:
Na 0.000 0.000 0.000
Na 0.038 0.001 0.496
Na 0.139 0.003 0.242
Na 0.206 0.336 0.937
Na 0.327 0.833 0.934
Na 0.394 0.500 0.243
Na 0.495 0.500 0.497
Na 0.536 0.500 0.001
Na 0.647 0.503 0.741
Na 0.704 0.833 0.434
Na 0.828 0.331 0.432
Na 0.889 0.999 0.742
Ti 0.009 0.712 0.851
Ti 0.505 0.210 0.353
Ti 0.519 0.796 0.638
Ti 0.526 0.214 0.854
Si 0.154 0.360 0.389
Si 0.160 0.650 0.104
Si 0.371 0.850 0.385
Si 0.373 0.150 0.102
Si 0.658 0.852 0.893
Si 0.662 0.155 0.601
Si 0.878 0.352 0.891
Si 0.880 0.649 0.597
Ge 0.016 0.295 0.639
Ge 0.019 0.297 0.141
Ge 0.025 0.712 0.349
Ge 0.515 0.796 0.139
P 0.230 0.014 0.741
P 0.301 0.506 0.739
P 0.736 0.511 0.240
P 0.800 0.006 0.240
O 0.074 0.276 0.492
O 0.076 0.273 0.285
O 0.085 0.737 0.206
O 0.098 0.737 0.995
O 0.127 0.096 0.658
O 0.127 0.541 0.380
O 0.129 0.925 0.822
O 0.135 0.466 0.107
O 0.184 0.163 0.098
O 0.185 0.846 0.387
O 0.200 0.397 0.673
O 0.205 0.617 0.806
O 0.324 0.124 0.809
O 0.334 0.904 0.679
O 0.340 0.342 0.392
O 0.349 0.662 0.098
O 0.400 0.967 0.104
O 0.401 0.420 0.822
O 0.407 0.588 0.660
O 0.413 0.031 0.382
O 0.437 0.241 0.997
O 0.443 0.232 0.207
O 0.450 0.771 0.489
O 0.454 0.770 0.281
O 0.574 0.770 0.994
O 0.589 0.773 0.785
O 0.596 0.243 0.495
O 0.597 0.233 0.709
O 0.611 0.032 0.886
O 0.626 0.973 0.602
O 0.633 0.422 0.319
O 0.633 0.598 0.160
O 0.692 0.667 0.592
O 0.693 0.347 0.895
O 0.701 0.900 0.172
O 0.705 0.111 0.312
O 0.831 0.616 0.314
O 0.836 0.404 0.172
O 0.843 0.847 0.895
O 0.851 0.161 0.596
O 0.901 0.465 0.604
O 0.902 0.916 0.322
O 0.906 0.094 0.161
O 0.921 0.532 0.883
O 0.944 0.732 0.704
O 0.946 0.739 0.489
O 0.952 0.270 0.784
O 0.958 0.272 0.995



# 4
BaTbEuSnO6: optimized geometry, PBE-GGA.

Relative energy among the computed polymorphs = 0.103 eV per atom
E_tot = -7.549 eV per atom
Calculated formation energy = -2.9108 eV per atom
Mass density = 7.0 g/cm³

Cell lengths 6.045, 6.045, 6.045 Å; angles 60.00, 60.00, 60.00 degrees
Fractional positions:
Ba 0.000 0.000 0.000
Tb 0.750 0.750 0.750
Eu 0.500 0.500 0.500
Sn 0.250 0.250 0.250
O 0.009 0.009 0.491
O 0.009 0.491 0.009
O 0.009 0.491 0.491
O 0.491 0.009 0.009
O 0.491 0.009 0.491
O 0.491 0.491 0.009



# 5
Nd2Ge3Rh: optimized geometry, PBE-GGA.

E_tot = -5.920 eV per atom
Calculated formation energy = -0.7913 eV per atom
Mass density = 7.6 g/cm³

Cell lengths 4.180, 4.314, 7.404 Å; angles 90.00, 90.00, 90.00 degrees
Fractional positions:
Nd 0.000 0.000 0.000
Nd 0.000 0.500 0.488
Ge 0.500 0.000 0.651
Ge 0.500 0.500 0.168
Ge 0.500 0.500 0.830
Rh 0.500 0.000 0.322



> What is the formula in the first record?

MnAl2N3